(1)
Material: Zr2N2O
Method: DFT, GGA-PBE
State: relaxed

**ΔE_f**: -2.19 eV per atom
**Crystal system**: triclinic
**Total energy**: -9.7968 eV per atom

a = 8.8513 Å, b = 8.8713 Å, c = 8.8920 Å
α = 109.59°, β = 109.33°, γ = 109.33°
With the nearest neighbours (Å) after each atom.
Positions (direct):
Zr (0.0000, 0.0000, 0.0000)  3 N 2.14-2.23, 3 O 2.15-2.23
Zr (0.0011, 0.4903, 0.4973)  4 N 2.13-2.20, 2 O 2.31-2.36
Zr (0.0359, 0.7021, 0.2460)  4 N 2.13-2.27, 2 O 2.25-2.28
Zr (0.2146, 0.1787, 0.4640)  4 N 2.14-2.20, 2 O 2.29-2.31
Zr (0.2424, 0.4513, 0.2062)  5 N 2.16-2.24, 1 O 2.33
Zr (0.2611, 0.9617, 0.7163)  3 N 2.13-2.15, 3 O 2.25-2.26
Zr (0.2950, 0.7506, 0.9740)  4 N 2.13-2.30, 2 O 2.23-2.24
Zr (0.4713, 0.2223, 0.1877)  5 N 2.15-2.23, 1 O 2.35
Zr (0.4885, 0.9277, 0.4266)  4 N 2.13-2.24, 2 O 2.21-2.36
Zr (0.5030, 0.4274, 0.9353)  5 N 2.16-2.28, 1 O 2.25
Zr (0.5308, 0.7049, 0.7550)  4 N 2.14-2.26, 2 O 2.25-2.29
Zr (0.7136, 0.6685, 0.4680)  3 O 2.13-2.25, 3 N 2.17-2.18
Zr (0.7392, 0.4618, 0.7142)  5 N 2.15-2.24, 1 O 2.31
Zr (0.7433, 0.9648, 0.2193)  3 N 2.13-2.20, 3 O 2.18-2.25
Zr (0.7825, 0.2549, 0.9647)  5 N 2.16-2.31, 1 O 2.26
Zr (0.9550, 0.2120, 0.6814)  3 N 2.14-2.24, 3 O 2.15-2.23
N (0.0108, 0.4532, 0.2525)  4 Zr 2.13-2.22
N (0.0223, 0.2190, 0.9410)  4 Zr 2.14-2.31
N (0.2348, 0.6860, 0.1671)  4 Zr 2.13-2.24
N (0.2577, 0.2296, 0.2589)  4 Zr 2.14-2.23
N (0.2813, 0.7239, 0.7028)  4 Zr 2.14-2.30
N (0.2888, 0.9711, 0.4881)  4 Zr 2.13-2.27
N (0.4729, 0.4271, 0.6704)  4 Zr 2.14-2.28
N (0.4906, 0.4775, 0.1863)  4 Zr 2.17-2.22
N (0.5145, 0.6941, 0.9912)  4 Zr 2.13-2.21
N (0.5183, 0.1827, 0.9498)  4 Zr 2.13-2.26
N (0.5224, 0.0063, 0.2283)  4 Zr 2.13-2.22
N (0.7057, 0.1891, 0.6794)  4 Zr 2.14-2.24
N (0.7207, 0.4193, 0.4462)  4 Zr 2.15-2.22
N (0.7827, 0.5092, 0.9890)  4 Zr 2.15-2.21
N (0.7935, 0.7370, 0.7523)  4 Zr 2.17-2.26
N (0.9863, 0.2307, 0.4471)  4 Zr 2.14-2.24
O (0.0249, 0.4946, 0.7655)  4 Zr 2.15-2.31
O (0.2012, 0.9495, 0.9415)  4 Zr 2.15-2.35
O (0.2119, 0.1971, 0.7289)  4 Zr 2.23-2.31
O (0.4809, 0.7058, 0.4906)  4 Zr 2.21-2.33
O (0.7450, 0.0006, 0.9889)  4 Zr 2.18-2.29
O (0.7607, 0.9236, 0.4522)  4 Zr 2.19-2.36
O (0.9715, 0.9141, 0.2021)  4 Zr 2.23-2.29
O (0.9738, 0.7411, 0.4812)  4 Zr 2.13-2.36

(2)
Material: La3SbO7
Method: DFT, GGA-PBE
State: relaxed

**ΔE_f**: -3.37 eV per atom
**Crystal system**: orthorhombic
**Total energy**: -7.8043 eV per atom

a = 6.7845 Å, b = 6.7845 Å, c = 7.8325 Å
α = 90.00°, β = 90.00°, γ = 69.09°
With the nearest neighbours (Å) after each atom.
Positions (direct):
La (0.0000, 0.0000, 0.0000)  4 O 2.45
La (0.0000, 0.0000, 0.5000)  4 O 2.45
La (0.0660, 0.4770, 0.7500)  6 O 2.36-2.51
La (0.4770, 0.0660, 0.2500)  6 O 2.36-2.51
La (0.5230, 0.9340, 0.7500)  6 O 2.36-2.51
La (0.9340, 0.5230, 0.2500)  6 O 2.36-2.51
Sb (0.5000, 0.5000, 0.0000)  6 O 2.01-2.04
Sb (0.5000, 0.5000, 0.5000)  6 O 2.01-2.04
O (0.1076, 0.1539, 0.2500)  4 La 2.36-2.45
O (0.1539, 0.1076, 0.7500)  4 La 2.36-2.45
O (0.1896, 0.5596, 0.0319)  1 Sb 2.01
O (0.1896, 0.5596, 0.4681)  1 Sb 2.01
O (0.4256, 0.5744, 0.7500)  2 Sb 2.04
O (0.4404, 0.8104, 0.0319)  1 Sb 2.01
O (0.4404, 0.8104, 0.4681)  1 Sb 2.01
O (0.5596, 0.1896, 0.5319)  1 Sb 2.01
O (0.5596, 0.1896, 0.9681)  1 Sb 2.01
O (0.5744, 0.4256, 0.2500)  2 Sb 2.04
O (0.8104, 0.4404, 0.5319)  1 Sb 2.01
O (0.8104, 0.4404, 0.9681)  1 Sb 2.01
O (0.8461, 0.8924, 0.2500)  4 La 2.36-2.45
O (0.8924, 0.8461, 0.7500)  4 La 2.36-2.45